No. 1
32
Lattice="5.934 0.000 0.000 2.835 7.159 0.000 2.949 2.340 6.786" Properties=species:S:1:pos:R:3 comment="Li9Mn2Co5O16, relaxed, DFT GGA+U" ef_ev_per_atom=-1.8276 energy_corrected_mp2020_ev_per_cell=-208.7 pbc="T T T"
Li 0.000 0.000 0.000
Li 2.900 4.738 3.378
Li 4.282 7.161 2.479
Li 2.942 2.377 1.691
Li 4.353 4.807 0.832
Li 2.953 0.029 0.021
Li 7.401 4.694 5.988
Li 8.795 7.149 5.104
Li 7.419 2.356 4.287
Mn 5.817 7.146 5.093
Mn 5.868 4.758 3.384
Co 4.322 4.685 5.952
Co 4.452 2.333 4.297
Co 7.329 7.195 2.447
Co 5.947 2.317 1.671
Co 7.365 4.823 0.835
O 3.054 3.633 5.105
O 1.425 1.322 0.894
O 4.541 5.925 4.241
O 5.788 5.980 6.645
O 5.869 8.288 3.525
O 7.209 8.280 5.816
O 4.535 3.557 2.636
O 5.848 3.616 4.986
O 5.864 5.875 1.794
O 7.160 5.983 4.172
O 4.418 1.183 0.971
O 5.856 1.176 3.359
O 5.965 3.582 0.063
O 7.232 3.654 2.581
O 10.366 8.190 5.893
O 8.672 5.903 1.697

***

No. 2
36
Lattice="4.768 -6.931 0.000 4.768 6.931 0.000 -1.648 0.000 7.485" Properties=species:S:1:pos:R:3 comment="LiCoP4O12, relaxed, DFT GGA+U" ef_ev_per_atom=-2.3978 energy_corrected_mp2020_ev_per_cell=-266.4 pbc="T T T"
Li 3.944 4.859 3.743
Li 4.768 -4.859 0.000
Co 3.284 1.852 0.231
Co 2.459 -1.852 3.973
P 2.765 4.655 6.641
P 1.060 1.045 4.621
P 1.884 -1.045 0.879
P 3.736 1.070 3.357
P 2.912 -1.070 7.099
P 6.133 2.240 4.734
P 3.589 -4.655 2.898
P 6.957 -2.240 0.991
O 2.757 4.899 5.190
O 0.696 1.763 5.898
O 3.956 5.554 7.238
O 1.967 0.465 0.913
O 2.405 1.689 4.022
O 2.909 3.240 7.180
O 1.143 -0.465 4.656
O 1.520 -1.763 2.156
O 4.057 1.845 2.100
O 2.828 0.428 7.005
O 5.816 3.699 4.375
O 3.230 -1.689 0.279
O 3.652 -0.428 3.263
O 4.789 1.403 4.502
O 3.233 -1.845 5.843
O 6.664 1.942 6.072
O 3.733 -3.240 3.438
O 5.613 -1.403 0.759
O 7.066 1.597 3.579
O 3.582 -4.899 1.447
O 6.241 -1.597 7.321
O 6.640 -3.699 0.633
O 7.489 -1.942 2.329
O 4.781 -5.554 3.495

***

No. 3
28
Lattice="6.049 0.000 0.000 0.000 6.049 0.000 0.000 0.000 8.553" Properties=species:S:1:pos:R:3 comment="Zn3Fe8CoO16, relaxed, DFT GGA+U" ef_ev_per_atom=-1.7002 energy_corrected_mp2020_ev_per_cell=-205.4 pbc="T T T"
Zn 0.000 0.000 0.000
Zn 0.000 3.024 6.416
Zn 3.024 0.000 2.137
Fe 0.000 1.512 3.208
Fe 0.000 4.536 3.208
Fe 1.512 0.000 5.345
Fe 1.512 3.024 1.070
Fe 3.024 1.512 7.484
Fe 3.024 4.536 7.484
Fe 4.536 0.000 5.345
Fe 4.536 3.024 1.070
Co 3.024 3.024 4.277
O 0.000 1.388 5.257
O 0.000 1.638 1.158
O 0.000 4.411 1.158
O 0.000 4.661 5.257
O 1.388 0.000 3.296
O 1.387 3.024 3.119
O 1.638 0.000 7.395
O 1.637 3.024 7.572
O 3.024 1.387 5.434
O 3.024 1.637 0.981
O 3.024 4.411 0.981
O 3.024 4.662 5.434
O 4.411 0.000 7.395
O 4.411 3.024 7.572
O 4.661 0.000 3.296
O 4.662 3.024 3.119

***

No. 4
40
Lattice="7.207 0.000 0.000 0.000 7.680 0.000 0.000 0.000 9.978" Properties=species:S:1:pos:R:3 comment="LiVSO4F3, relaxed, DFT GGA+U" ef_ev_per_atom=-2.4283 energy_corrected_mp2020_ev_per_cell=-259.8 pbc="T T T"
Li 1.375 1.065 0.000
Li 2.228 4.905 4.989
Li 4.979 2.775 0.000
Li 5.832 6.615 4.989
V 0.036 5.776 2.128
V 3.568 1.936 7.117
V 3.640 5.744 2.128
V 7.172 1.904 7.117
S 1.741 3.147 2.337
S 1.862 6.987 7.327
S 5.345 0.693 2.337
S 5.466 4.533 7.327
O 0.701 4.063 1.623
O 0.822 0.272 7.936
O 1.118 2.441 3.414
O 1.268 6.190 6.256
O 2.336 2.350 1.267
O 2.485 6.281 8.403
O 2.782 4.112 2.947
O 2.903 0.223 6.612
O 4.305 7.457 1.623
O 4.425 3.568 7.936
O 4.722 1.399 3.414
O 4.871 5.330 6.256
O 5.940 1.490 1.267
O 6.089 5.239 8.403
O 6.386 7.408 2.947
O 6.506 3.617 6.612
F 0.026 1.107 5.529
F 0.278 5.365 3.924
F 1.724 2.715 7.124
F 1.880 6.555 2.135
F 3.325 1.525 8.913
F 3.578 4.947 0.540
F 3.629 2.733 5.529
F 3.882 6.155 3.924
F 5.328 1.125 7.124
F 5.483 4.965 2.135
F 6.929 2.315 8.913
F 7.182 6.573 0.540